Record 1
# MnOF, relaxed, DFT GGA+U
data_MnOF
_space_group_name_H-M_alt 'P n m a'
_space_group_IT_number 62
_space_group_name_Hall '-P 2ac 2n'
_cell_length_a 5.459
_cell_length_b 3.725
_cell_length_c 8.936
_cell_angle_alpha 90.00
_cell_angle_beta 90.00
_cell_angle_gamma 90.00
loop_
_atom_site_label
_atom_site_type_symbol
_atom_site_fract_x
_atom_site_fract_y
_atom_site_fract_z
Mn1 Mn 0.133 0.250 0.095
O1 O 0.139 0.750 0.041
F1 F 0.067 0.750 0.704
# magnetic moment = 0.00 Bohr magnetons per cell

***

Record 2
# LiMo2P3O13, relaxed, DFT GGA+U
data_LiMo2P3O13
_space_group_name_H-M_alt 'P 1 21 1'
_space_group_IT_number 4
_space_group_name_Hall 'P 2yb'
_cell_length_a 6.489
_cell_length_b 18.774
_cell_length_c 9.648
_cell_angle_alpha 90.00
_cell_angle_beta 107.45
_cell_angle_gamma 90.00
loop_
_atom_site_label
_atom_site_type_symbol
_atom_site_fract_x
_atom_site_fract_y
_atom_site_fract_z
Li1 Li 0.185 0.000 0.118
Li2 Li 0.238 0.784 0.532
Mo1 Mo 0.067 0.151 0.894
Mo2 Mo 0.131 0.442 0.575
Mo3 Mo 0.371 0.119 0.439
Mo4 Mo 0.439 0.408 0.119
P1 P 0.022 0.874 0.799
P2 P 0.092 0.610 0.469
P3 P 0.247 0.247 0.202
P4 P 0.255 0.312 0.809
P5 P 0.408 0.950 0.523
P6 P 0.477 0.686 0.194
O1 O 0.016 0.390 0.361
O2 O 0.025 0.289 0.193
O3 O 0.043 0.650 0.324
O4 O 0.065 0.135 0.448
O5 O 0.078 0.062 0.948
O6 O 0.079 0.529 0.438
O7 O 0.106 0.262 0.857
O8 O 0.120 0.413 0.124
O9 O 0.147 0.337 0.650
O10 O 0.175 0.182 0.107
O11 O 0.182 0.929 0.420
O12 O 0.198 0.494 0.728
O13 O 0.239 0.678 0.105
O14 O 0.258 0.884 0.894
O15 O 0.296 0.065 0.286
O16 O 0.318 0.635 0.565
O17 O 0.327 0.377 0.904
O18 O 0.349 0.223 0.361
O19 O 0.379 0.147 0.882
O20 O 0.400 0.296 0.155
O21 O 0.425 0.028 0.571
O22 O 0.437 0.430 0.565
O23 O 0.447 0.498 0.097
O24 O 0.451 0.900 0.657
O25 O 0.475 0.271 0.812
O26 O 0.477 0.168 0.646
# offset from the most stable computed form = 0.0332 eV per atom
# magnetic moment = 8.00 Bohr magnetons per cell

***

Record 3
# MgV4O10, relaxed, DFT GGA+U
data_MgV4O10
_space_group_name_H-M_alt 'P 1 m 1'
_space_group_IT_number 6
_space_group_name_Hall 'P -2y'
_cell_length_a 5.392
_cell_length_b 3.235
_cell_length_c 12.139
_cell_angle_alpha 90.00
_cell_angle_beta 91.08
_cell_angle_gamma 90.00
loop_
_atom_site_label
_atom_site_type_symbol
_atom_site_fract_x
_atom_site_fract_y
_atom_site_fract_z
Mg1 Mg 0.000 0.000 0.000
V1 V 0.000 0.000 0.265
V2 V 0.161 0.000 0.721
V3 V 0.510 0.000 0.990
V4 V 0.656 0.000 0.518
O1 O 0.029 0.500 0.754
O2 O 0.153 0.500 0.280
O3 O 0.277 0.000 0.882
O4 O 0.312 0.000 0.098
O5 O 0.434 0.000 0.656
O6 O 0.520 0.500 0.489
O7 O 0.730 0.500 0.970
O8 O 0.798 0.000 0.371
O9 O 0.825 0.000 0.147
O10 O 0.929 0.000 0.589
# offset from the most stable computed form = 0.2188 eV per atom
# magnetic moment = 2.00 Bohr magnetons per cell

***

Record 4
# LiVO2F2, relaxed, DFT GGA+U
data_LiVO2F2
_space_group_name_H-M_alt 'P c a 21'
_space_group_IT_number 29
_space_group_name_Hall 'P 2c -2ac'
_cell_length_a 6.710
_cell_length_b 5.086
_cell_length_c 8.465
_cell_angle_alpha 90.00
_cell_angle_beta 90.00
_cell_angle_gamma 90.00
loop_
_atom_site_label
_atom_site_type_symbol
_atom_site_fract_x
_atom_site_fract_y
_atom_site_fract_z
Li1 Li 0.247 0.029 0.000
V1 V 0.010 0.454 0.205
O1 O 0.037 0.316 0.031
O2 O 0.246 0.608 0.758
F1 F 0.063 0.203 0.647
F2 F 0.085 0.179 0.338
# offset from the most stable computed form = 0.0775 eV per atom
# magnetic moment = 0.00 Bohr magnetons per cell

***

Record 5
# Li19Cr4P8O35F, relaxed, DFT GGA+U
data_Li19Cr4P8O35F
_space_group_name_H-M_alt 'P 1'
_space_group_IT_number 1
_space_group_name_Hall 'P 1'
_cell_length_a 6.880
_cell_length_b 10.570
_cell_length_c 10.593
_cell_angle_alpha 85.29
_cell_angle_beta 71.06
_cell_angle_gamma 71.06
loop_
_atom_site_label
_atom_site_type_symbol
_atom_site_fract_x
_atom_site_fract_y
_atom_site_fract_z
Li1 Li 0.000 0.000 0.000
Li2 Li 0.000 0.500 0.501
Li3 Li 0.006 0.248 0.740
Li4 Li 0.117 0.760 0.506
Li5 Li 0.143 0.987 0.245
Li6 Li 0.229 0.774 0.769
Li7 Li 0.263 0.233 0.237
Li8 Li 0.375 0.012 0.755
Li9 Li 0.382 0.240 0.497
Li10 Li 0.481 0.753 0.266
Li11 Li 0.496 0.499 0.501
Li12 Li 0.503 0.248 0.740
Li13 Li 0.619 0.504 0.752
Li14 Li 0.622 0.237 0.985
Li15 Li 0.733 0.765 0.761
Li16 Li 0.772 0.224 0.229
Li17 Li 0.836 0.768 0.015
Li18 Li 0.877 0.487 0.253
Li19 Li 0.996 0.754 0.265
Cr1 Cr 0.252 0.000 0.497
Cr2 Cr 0.260 0.495 0.999
Cr3 Cr 0.738 0.500 0.997
Cr4 Cr 0.750 0.998 0.502
P1 P 0.130 0.225 0.004
P2 P 0.132 0.506 0.725
P3 P 0.358 0.774 0.996
P4 P 0.364 0.494 0.273
P5 P 0.634 0.724 0.505
P6 P 0.639 0.004 0.224
P7 P 0.865 0.274 0.495
P8 P 0.869 0.995 0.774
O1 O 0.064 0.942 0.431
O2 O 0.073 0.657 0.694
O3 O 0.075 0.199 0.531
O4 O 0.112 0.958 0.687
O5 O 0.121 0.105 0.094
O6 O 0.196 0.528 0.195
O7 O 0.223 0.191 0.852
O8 O 0.241 0.417 0.598
O9 O 0.242 0.684 0.960
O10 O 0.256 0.586 0.399
O11 O 0.264 0.301 0.045
O12 O 0.266 0.809 0.148
O13 O 0.298 0.466 0.804
O14 O 0.321 0.894 0.906
O15 O 0.389 0.044 0.299
O16 O 0.426 0.343 0.305
O17 O 0.428 0.801 0.465
O18 O 0.438 0.056 0.568
O19 O 0.563 0.428 0.940
O20 O 0.571 0.533 0.193
O21 O 0.573 0.693 0.656
O22 O 0.610 0.698 0.956
O23 O 0.679 0.092 0.103
O24 O 0.697 0.197 0.534
O25 O 0.731 0.850 0.192
O26 O 0.733 0.953 0.701
O27 O 0.743 0.596 0.415
O28 O 0.756 0.403 0.584
O29 O 0.759 0.040 0.312
O30 O 0.774 0.148 0.807
O31 O 0.805 0.800 0.469
O32 O 0.877 0.906 0.896
O33 O 0.887 0.316 0.042
O34 O 0.922 0.470 0.803
O35 O 0.924 0.305 0.343
F1 F 0.932 0.571 0.059
# magnetic moment = 12.00 Bohr magnetons per cell

***

Record 6
# CaVO2, relaxed, DFT GGA+U
data_CaVO2
_space_group_name_H-M_alt 'C 1 2/m 1'
_space_group_IT_number 12
_space_group_name_Hall '-C 2y'
_cell_length_a 16.482
_cell_length_b 3.103
_cell_length_c 11.526
_cell_angle_alpha 90.00
_cell_angle_beta 134.18
_cell_angle_gamma 90.00
loop_
_atom_site_label
_atom_site_type_symbol
_atom_site_fract_x
_atom_site_fract_y
_atom_site_fract_z
Ca1 Ca 0.121 0.000 0.456
Ca2 Ca 0.164 0.000 0.789
V1 V 0.036 0.500 0.891
V2 V 0.148 0.000 0.183
O1 O 0.030 0.500 0.711
O2 O 0.140 0.500 0.298
O3 O 0.159 0.000 0.014
O4 O 0.181 0.500 0.649
# offset from the most stable computed form = 0.0000 eV per atom
# magnetic moment = 20.00 Bohr magnetons per cell

***

Record 7
# LiMnP3O9, relaxed, DFT GGA+U
data_LiMnP3O9
_space_group_name_H-M_alt 'P 21 21 21'
_space_group_IT_number 19
_space_group_name_Hall 'P 2ac 2ab'
_cell_length_a 5.394
_cell_length_b 10.305
_cell_length_c 11.742
_cell_angle_alpha 90.00
_cell_angle_beta 90.00
_cell_angle_gamma 90.00
loop_
_atom_site_label
_atom_site_type_symbol
_atom_site_fract_x
_atom_site_fract_y
_atom_site_fract_z
Li1 Li 0.074 0.038 0.364
Mn1 Mn 0.110 0.391 0.411
P1 P 0.092 0.285 0.683
P2 P 0.118 0.923 0.623
P3 P 0.121 0.640 0.634
O1 O 0.012 0.540 0.555
O2 O 0.015 0.513 0.958
O3 O 0.073 0.405 0.771
O4 O 0.094 0.166 0.771
O5 O 0.125 0.779 0.568
O6 O 0.133 0.036 0.169
O7 O 0.138 0.383 0.194
O8 O 0.139 0.782 0.890
O9 O 0.159 0.709 0.125
# offset from the most stable computed form = 0.0727 eV per atom
# magnetic moment = 20.00 Bohr magnetons per cell
# piezoelectric modulus e_max = 0.70 C/m2

***

Record 8
# Tb2Mn3Sb3O14, relaxed, DFT GGA+U
data_Tb2Mn3Sb3O14
_space_group_name_H-M_alt 'C 1 2/m 1'
_space_group_IT_number 12
_space_group_name_Hall '-C 2y'
_cell_length_a 12.363
_cell_length_b 7.370
_cell_length_c 7.297
_cell_angle_alpha 90.00
_cell_angle_beta 124.04
_cell_angle_gamma 90.00
loop_
_atom_site_label
_atom_site_type_symbol
_atom_site_fract_x
_atom_site_fract_y
_atom_site_fract_z
Tb1 Tb 0.250 0.250 0.000
Mn1 Mn 0.000 0.000 0.000
Mn2 Mn 0.000 0.000 0.500
Mn3 Mn 0.000 0.500 0.500
Sb1 Sb 0.000 0.500 0.000
Sb2 Sb 0.250 0.250 0.500
O1 O 0.091 0.500 0.852
O2 O 0.117 0.000 0.870
O3 O 0.125 0.296 0.174
O4 O 0.127 0.301 0.587
O5 O 0.172 0.000 0.428
# magnetic moment = 0.01 Bohr magnetons per cell

***

Record 9
# Co3O2F4, relaxed, DFT GGA+U
data_Co3O2F4
_space_group_name_H-M_alt 'P 1 21 1'
_space_group_IT_number 4
_space_group_name_Hall 'P 2yb'
_cell_length_a 5.659
_cell_length_b 4.583
_cell_length_c 7.733
_cell_angle_alpha 90.00
_cell_angle_beta 92.13
_cell_angle_gamma 90.00
loop_
_atom_site_label
_atom_site_type_symbol
_atom_site_fract_x
_atom_site_fract_y
_atom_site_fract_z
Co1 Co 0.068 0.000 0.350
Co2 Co 0.270 0.482 0.000
Co3 Co 0.400 0.037 0.673
O1 O 0.112 0.202 0.565
O2 O 0.450 0.206 0.900
F1 F 0.052 0.801 0.104
F2 F 0.218 0.701 0.773
F3 F 0.279 0.298 0.241
F4 F 0.383 0.809 0.445
# offset from the most stable computed form = 0.0549 eV per atom
# magnetic moment = 18.00 Bohr magnetons per cell

***

Record 10
# BaYCuMoO5, relaxed, DFT GGA+U
data_BaYCuMoO5
_space_group_name_H-M_alt 'P 4 m m'
_space_group_IT_number 99
_space_group_name_Hall 'P 4 -2'
_cell_length_a 4.027
_cell_length_b 4.027
_cell_length_c 7.897
_cell_angle_alpha 90.00
_cell_angle_beta 90.00
_cell_angle_gamma 90.00
loop_
_atom_site_label
_atom_site_type_symbol
_atom_site_fract_x
_atom_site_fract_y
_atom_site_fract_z
Ba1 Ba 0.000 0.000 0.000
Y1 Y 0.000 0.000 0.448
Cu1 Cu 0.500 0.500 0.275
Mo1 Mo 0.500 0.500 0.691
O1 O 0.000 0.500 0.288
O2 O 0.000 0.500 0.648
O3 O 0.500 0.500 0.949
# magnetic moment = 2.51 Bohr magnetons per cell

***

Record 11
This record from Materials Project describes NiH12Cl2O6 after structural relaxation. The functional is GGA+U.

Geometry as CIF:
```
data_NiH12Cl2O6
_space_group_name_H-M_alt 'C 1 2/m 1'
_space_group_IT_number 12
_space_group_name_Hall '-C 2y'
_cell_length_a 10.319
_cell_length_b 7.062
_cell_length_c 6.663
_cell_angle_alpha 90.00
_cell_angle_beta 122.33
_cell_angle_gamma 90.00
loop_
_atom_site_label
_atom_site_type_symbol
_atom_site_fract_x
_atom_site_fract_y
_atom_site_fract_z
Ni1 Ni 0.000 0.000 0.000
H1 H 0.058 0.269 0.777
H2 H 0.108 0.307 0.275
H3 H 0.184 0.000 0.551
H4 H 0.235 0.500 0.167
Cl1 Cl 0.225 0.500 0.842
O1 O 0.035 0.203 0.253
O2 O 0.216 0.500 0.298
```

***

no.,formation energy from the elements (eV per atom),electronic total energy (eV per atom)
1,-2.335,-6.74
2,-2.405,-7.08
3,-2.275,-7.19
4,-2.640,-6.09
5,-2.651,-6.54
6,-2.471,-6.95
7,-2.561,-7.13
8,-2.348,-7.07
9,-1.825,-5.24
10,-2.412,-7.02
11,-1.192,-4.68